Computed, not measured: a relaxed Na5LaW4O16 crystal at the GGA+U level of DFT.

The structure in CIF format:
```
data_Na5LaW4O16
_chemical_formula_sum 'Na20 La4 W16 O64'
_symmetry_space_group_name_H-M 'I 41/a'
_symmetry_Int_Tables_number 88
_cell_length_a 11.8574
_cell_length_b 11.8574
_cell_length_c 11.6290
_cell_angle_alpha 90.00
_cell_angle_beta 90.00
_cell_angle_gamma 90.00
loop_
_symmetry_equiv_pos_as_xyz
'x,y,z'
'-x,-y,-z'
'-y+3/4,x+1/4,z+1/4'
'y+3/4,-x+1/4,-z+1/4'
'-x+1/2,-y,z+1/2'
'x+1/2,y,-z+1/2'
'y+3/4,-x+3/4,z+3/4'
'-y+3/4,x+3/4,-z+3/4'
'x+1/2,y+1/2,z+1/2'
'-x+1/2,-y+1/2,-z+1/2'
'-y+1/4,x+3/4,z+3/4'
'y+1/4,-x+3/4,-z+3/4'
'-x,-y+1/2,z'
'x,y+1/2,-z'
'y+1/4,-x+1/4,z+1/4'
'-y+1/4,x+1/4,-z+1/4'
loop_
_atom_site_label
_atom_site_type_symbol
_atom_site_fract_x
_atom_site_fract_y
_atom_site_fract_z
_atom_site_occupancy
Na1 Na 0.0000 0.2500 0.1250 1
Na2 Na 0.1211 0.4538 0.8423 1
La1 La 0.0000 0.2500 0.6250 1
W1 W 0.0980 0.4322 0.3573 1
O1 O 0.0239 0.1002 0.2688 1
O2 O 0.0617 0.1347 0.7958 1
O3 O 0.0852 0.0665 0.5631 1
O4 O 0.1827 0.0300 0.9848 1
```

---

# VPO5 | the Materials Project | GGA+U | relaxed
data_VPO5
_chemical_formula_sum 'V8 P8 O40'
_symmetry_space_group_name_H-M 'P n a 21'
_symmetry_Int_Tables_number 33
_cell_length_a 12.5801
_cell_length_b 6.2349
_cell_length_c 10.6150
_cell_angle_alpha 90.00
_cell_angle_beta 90.00
_cell_angle_gamma 90.00
loop_
_symmetry_equiv_pos_as_xyz
'x,y,z'
'-x,-y,z+1/2'
'-x+1/2,y+1/2,z+1/2'
'x+1/2,-y+1/2,z'
loop_
_atom_site_label
_atom_site_type_symbol
_atom_site_fract_x
_atom_site_fract_y
_atom_site_fract_z
_atom_site_occupancy
V1 V 0.1157 0.0006 0.0000 1
V2 V 0.2502 0.2733 0.7564 1
P1 P 0.0030 0.8372 0.2626 1
P2 P 0.1861 0.4959 0.0206 1
O1 O 0.0068 0.0236 0.8863 1
O2 O 0.0134 0.9805 0.1479 1
O3 O 0.0977 0.3050 0.7527 1
O4 O 0.1031 0.6962 0.2845 1
O5 O 0.1143 0.2999 0.0472 1
O6 O 0.1142 0.6932 0.9966 1
O7 O 0.2158 0.0368 0.8994 1
O8 O 0.2212 0.9588 0.1493 1
O9 O 0.2425 0.0418 0.6375 1
O10 O 0.2437 0.9539 0.4035 1
# Energy above the lowest structure with this stoichiometry   28.8 meV per atom

---

# MgFe8O8F8 | the Materials Project | GGA+U | relaxed
data_MgFe8O8F8
_chemical_formula_sum 'Mg1 Fe8 O8 F8'
_symmetry_space_group_name_H-M 'P 1 m 1'
_symmetry_Int_Tables_number 6
_cell_length_a 9.7571
_cell_length_b 3.1832
_cell_length_c 9.9145
_cell_angle_alpha 90.00
_cell_angle_beta 97.07
_cell_angle_gamma 90.00
loop_
_symmetry_equiv_pos_as_xyz
'x,y,z'
'x,-y,z'
loop_
_atom_site_label
_atom_site_type_symbol
_atom_site_fract_x
_atom_site_fract_y
_atom_site_fract_z
_atom_site_occupancy
Mg1 Mg 0.0000 0.0000 0.0000 1
Fe1 Fe 0.0382 0.0000 0.6489 1
Fe2 Fe 0.2456 0.5000 0.4647 1
Fe3 Fe 0.2832 0.5000 0.9704 1
Fe4 Fe 0.5261 0.0000 0.2591 1
Fe5 Fe 0.5270 0.0000 0.7305 1
Fe6 Fe 0.6917 0.5000 0.0138 1
Fe7 Fe 0.7370 0.5000 0.5280 1
Fe8 Fe 0.9558 0.0000 0.3396 1
O1 O 0.1420 0.5000 0.6122 1
O2 O 0.1514 0.0000 0.3681 1
O3 O 0.6024 0.5000 0.1687 1
O4 O 0.6036 0.5000 0.6653 1
O5 O 0.6309 0.0000 0.9191 1
O6 O 0.6379 0.0000 0.4229 1
O7 O 0.8427 0.0000 0.6160 1
O8 O 0.8767 0.5000 0.3861 1
F1 F 0.1115 0.5000 0.0813 1
F2 F 0.1483 0.0000 0.8779 1
F3 F 0.3689 0.0000 0.0865 1
F4 F 0.3694 0.0000 0.5655 1
F5 F 0.3969 0.5000 0.3272 1
F6 F 0.4023 0.5000 0.8185 1
F7 F 0.8727 0.0000 0.1414 1
F8 F 0.8805 0.5000 0.9314 1
# Energy above the lowest structure with this stoichiometry   30.6 meV per atom

---

Computed, not measured: a relaxed Co3P4H8N2O12F4 crystal at the GGA+U level of DFT.

The structure in CIF format:
```
data_Co3P4H8N2O12F4
_chemical_formula_sum 'Co6 P8 H16 N4 O24 F8'
_symmetry_space_group_name_H-M 'P 1 21/c 1'
_symmetry_Int_Tables_number 14
_cell_length_a 10.6664
_cell_length_b 7.6528
_cell_length_c 9.7711
_cell_angle_alpha 90.00
_cell_angle_beta 98.07
_cell_angle_gamma 90.00
loop_
_symmetry_equiv_pos_as_xyz
'x,y,z'
'-x,-y,-z'
'-x,y+1/2,-z+1/2'
'x,-y+1/2,z+1/2'
loop_
_atom_site_label
_atom_site_type_symbol
_atom_site_fract_x
_atom_site_fract_y
_atom_site_fract_z
_atom_site_occupancy
Co1 Co 0.0000 0.0000 0.0000 1
Co2 Co 0.1374 0.0366 0.5787 1
P1 P 0.0934 0.6944 0.7938 1
P2 P 0.2601 0.0779 0.2224 1
H1 H 0.3533 0.5855 0.0800 1
H2 H 0.3926 0.6971 0.4184 1
H3 H 0.4742 0.2010 0.5245 1
H4 H 0.4742 0.6398 0.5668 1
N1 N 0.4461 0.7444 0.5055 1
O1 O 0.0297 0.6940 0.6451 1
O2 O 0.0421 0.5554 0.8873 1
O3 O 0.1172 0.6313 0.3637 1
O4 O 0.1680 0.1421 0.1051 1
O5 O 0.2393 0.6069 0.7810 1
O6 O 0.3078 0.0189 0.6099 1
F1 F 0.2742 0.2089 0.3438 1
F2 F 0.3985 0.0668 0.1926 1
```

---

# Ca2Mn2O5 | the Materials Project | GGA+U | relaxed
data_Ca2Mn2O5
_chemical_formula_sum 'Ca4 Mn4 O10'
_symmetry_space_group_name_H-M 'P m n 21'
_symmetry_Int_Tables_number 31
_cell_length_a 8.3053
_cell_length_b 5.4274
_cell_length_c 5.2886
_cell_angle_alpha 90.00
_cell_angle_beta 90.00
_cell_angle_gamma 90.00
loop_
_symmetry_equiv_pos_as_xyz
'x,y,z'
'-x+1/2,-y,z+1/2'
'-x,y,z'
'x+1/2,-y,z+1/2'
loop_
_atom_site_label
_atom_site_type_symbol
_atom_site_fract_x
_atom_site_fract_y
_atom_site_fract_z
_atom_site_occupancy
Ca1 Ca 0.0000 0.2021 0.0000 1
Ca2 Ca 0.0000 0.7134 0.4245 1
Mn1 Mn 0.2297 0.7512 0.9552 1
O1 O 0.0000 0.7915 0.8387 1
O2 O 0.1893 0.4701 0.1885 1
O3 O 0.1889 0.9737 0.2520 1
# Energy above the lowest structure with this stoichiometry   79.8 meV per atom

---

Computed, not measured: a relaxed UCr4H18O24 crystal at the GGA+U level of DFT.

The structure in CIF format:
```
data_UCr4H18O24
_chemical_formula_sum 'U4 Cr16 H72 O96'
_symmetry_space_group_name_H-M 'C 1 2/c 1'
_symmetry_Int_Tables_number 15
_cell_length_a 13.9951
_cell_length_b 11.4357
_cell_length_c 13.4098
_cell_angle_alpha 90.00
_cell_angle_beta 102.84
_cell_angle_gamma 90.00
loop_
_symmetry_equiv_pos_as_xyz
'x,y,z'
'-x,-y,-z'
'-x,y,-z+1/2'
'x,-y,z+1/2'
'x+1/2,y+1/2,z'
'-x+1/2,-y+1/2,-z'
'-x+1/2,y+1/2,-z+1/2'
'x+1/2,-y+1/2,z+1/2'
loop_
_atom_site_label
_atom_site_type_symbol
_atom_site_fract_x
_atom_site_fract_y
_atom_site_fract_z
_atom_site_occupancy
U1 U 0.0000 0.1260 0.2500 1
Cr1 Cr 0.1063 0.1527 0.8881 1
Cr2 Cr 0.1122 0.3945 0.4106 1
H1 H 0.0735 0.3178 0.1162 1
H2 H 0.0822 0.0733 0.6114 1
H3 H 0.1330 0.0284 0.5266 1
H4 H 0.1551 0.2576 0.0573 1
H5 H 0.1605 0.3817 0.6492 1
H6 H 0.1618 0.2962 0.7555 1
H7 H 0.1723 0.4498 0.7635 1
H8 H 0.1957 0.3418 0.1556 1
H9 H 0.2307 0.0860 0.6363 1
O1 O 0.0293 0.2563 0.8838 1
O2 O 0.0345 0.2776 0.3684 1
O3 O 0.0411 0.0226 0.8654 1
O4 O 0.0427 0.4949 0.9066 1
O5 O 0.1246 0.1279 0.2312 1
O6 O 0.1354 0.0918 0.5764 1
O7 O 0.1384 0.3336 0.0958 1
O8 O 0.1467 0.3793 0.7197 1
O9 O 0.1749 0.3748 0.5269 1
O10 O 0.1759 0.1502 0.0062 1
O11 O 0.1764 0.1813 0.8031 1
O12 O 0.1921 0.4255 0.3283 1
```

---

# MgFe2B2O6 | the Materials Project | GGA+U | relaxed
data_MgFe2B2O6
_chemical_formula_sum 'Mg2 Fe4 B4 O12'
_symmetry_space_group_name_H-M 'C 1 2 1'
_symmetry_Int_Tables_number 5
_cell_length_a 5.0503
_cell_length_b 8.9588
_cell_length_c 5.7939
_cell_angle_alpha 90.00
_cell_angle_beta 113.97
_cell_angle_gamma 90.00
loop_
_symmetry_equiv_pos_as_xyz
'x,y,z'
'-x,y,-z'
'x+1/2,y+1/2,z'
'-x+1/2,y+1/2,-z'
loop_
_atom_site_label
_atom_site_type_symbol
_atom_site_fract_x
_atom_site_fract_y
_atom_site_fract_z
_atom_site_occupancy
Mg1 Mg 0.0000 0.0000 0.0000 1
Fe1 Fe 0.1479 0.3798 0.2905 1
B1 B 0.0000 0.1044 0.5000 1
B2 B 0.0000 0.7124 0.0000 1
O1 O 0.0000 0.2566 0.5000 1
O2 O 0.0000 0.5576 0.0000 1
O3 O 0.1354 0.0222 0.3749 1
O4 O 0.2157 0.7946 0.9687 1
# Energy above the lowest structure with this stoichiometry   0.0 meV per atom

---

# Li3Fe3CoO8 | the Materials Project | GGA+U | relaxed
data_Li3Fe3CoO8
_chemical_formula_sum 'Li6 Fe6 Co2 O16'
_symmetry_space_group_name_H-M 'C 1 m 1'
_symmetry_Int_Tables_number 8
_cell_length_a 10.2821
_cell_length_b 5.8546
_cell_length_c 5.0406
_cell_angle_alpha 90.00
_cell_angle_beta 108.54
_cell_angle_gamma 90.00
loop_
_symmetry_equiv_pos_as_xyz
'x,y,z'
'x,-y,z'
'x+1/2,y+1/2,z'
'x+1/2,-y+1/2,z'
loop_
_atom_site_label
_atom_site_type_symbol
_atom_site_fract_x
_atom_site_fract_y
_atom_site_fract_z
_atom_site_occupancy
Li1 Li 0.0000 0.0000 0.0000 1
Li2 Li 0.4973 0.2390 0.4951 1
Fe1 Fe 0.2460 0.5000 0.4869 1
Fe2 Fe 0.2486 0.2444 0.9918 1
Co1 Co 0.2489 0.0000 0.4963 1
O1 O 0.1341 0.0000 0.7476 1
O2 O 0.1395 0.5000 0.7285 1
O3 O 0.1418 0.2419 0.2701 1
O4 O 0.3540 0.2584 0.7136 1
O5 O 0.3576 0.0000 0.2497 1
O6 O 0.3581 0.5000 0.2413 1
# Energy above the lowest structure with this stoichiometry   44.4 meV per atom

---

In meV/atom, the formation energy from the elements values for the records above are, in order, -2409 -2471 -2099 -1706 -2496 -1522 -2305 -1739.
In Ha/atom, the energy values for the records above are, in order, -0.2494 -0.2698 -0.2198 -0.2173 -0.2563 -0.2164 -0.2616 -0.2205.